(1)
## Ba2YV3O8 (GGA+U)

Data for a geometry-optimized Ba2YV3O8 structure.

a = 3.9546 Å, b = 12.6504 Å, c = 8.0849 Å
α = 108.64°, β = 90.06°, γ = 89.99°
Positions (direct):
1 Ba 0.4991 0.1640 0.3318
2 Ba 0.5009 0.1639 0.8320
3 Ba 0.4989 0.8361 0.6704
4 Ba 0.5012 0.8362 0.1656
5 Y 0.4987 0.4998 0.5044
6 Y 0.5013 0.4999 0.9954
7 V 0.0000 0.0009 0.0005
8 V 0.0001 0.6609 0.8304
9 V 0.0000 0.6582 0.3291
10 V 0.0000 0.9990 0.4995
11 V 0.9999 0.3413 0.1704
12 V 0.0000 0.3401 0.6700
13 O 0.5000 0.9991 0.4995
14 O 0.5000 0.0014 0.0007
15 O 0.0000 0.9997 0.7499
16 O 0.0000 0.9997 0.2498
17 O 0.0000 0.1834 0.5918
18 O 0.0001 0.1841 0.0922
19 O 0.0000 0.8144 0.4072
20 O 0.0000 0.8184 0.9092
21 O 0.9993 0.3817 0.4413
22 O 0.0007 0.3818 0.9408
23 O 0.5000 0.3834 0.6918
24 O 0.5000 0.3851 0.1925
25 O 0.9994 0.6189 0.5655
26 O 0.0006 0.6190 0.0534
27 O 0.5000 0.6153 0.3076
28 O 0.5000 0.6143 0.8071

Properties
- energy above the lowest structure with this stoichiometry (kJ per mole of atoms) = 1.4
- ΔE_f (eV per atom) = -2.905

---

(2)
## Ba2YV3O8 (GGA+U)

Data for a geometry-optimized Ba2YV3O8 structure.

a = 4.0949 Å, b = 12.0052 Å, c = 7.8174 Å
α = 90.00°, β = 89.95°, γ = 90.02°
Positions (direct):
1 Ba 0.4996 0.1635 0.2500
2 Ba 0.5003 0.1635 0.7500
3 Ba 0.5011 0.8365 0.2500
4 Ba 0.4990 0.8365 0.7500
5 Y 0.4999 0.5000 0.2499
6 Y 0.5001 0.5000 0.7501
7 V 0.9999 0.0001 0.4999
8 V 0.9997 0.3409 0.5000
9 V 0.0005 0.6592 0.5000
10 V 0.0000 0.0000 0.0000
11 V 0.0001 0.3407 0.0000
12 V 0.9998 0.6592 0.0000
13 O 0.0002 0.0000 0.2500
14 O 0.9999 0.0000 0.7500
15 O 0.5000 0.0000 0.0000
16 O 0.5000 0.0000 0.5000
17 O 0.9999 0.1844 0.0000
18 O 0.0002 0.1845 0.5000
19 O 0.0002 0.8155 0.0000
20 O 0.9997 0.8155 0.5000
21 O 0.4999 0.3806 0.0000
22 O 0.5005 0.3807 0.5000
23 O 0.0001 0.3865 0.2499
24 O 0.9999 0.3865 0.7502
25 O 0.4994 0.6193 0.5000
26 O 0.5002 0.6193 0.0000
27 O 0.0003 0.6135 0.2500
28 O 0.9997 0.6135 0.7500

Properties
- energy above the lowest structure with this stoichiometry (kJ per mole of atoms) = 10.5
- ΔE_f (eV per atom) = -2.811

---

(3)
## Ba2YV3O8 (GGA+U)

Data for a geometry-optimized Ba2YV3O8 structure.

a = 5.6261 Å, b = 5.6651 Å, c = 12.6776 Å
α = 77.15°, β = 77.24°, γ = 90.26°
Positions (direct):
1 Ba 0.4188 0.9188 0.1623
2 Ba 0.9189 0.4189 0.1623
3 Ba 0.0813 0.5813 0.8373
4 Ba 0.5813 0.0813 0.8373
5 Y 0.2500 0.7500 0.5000
6 Y 0.7500 0.2500 0.5001
7 V 0.5001 0.5001 0.9999
8 V 0.0001 0.0001 0.9999
9 V 0.8295 0.8295 0.3410
10 V 0.3296 0.3296 0.3408
11 V 0.6704 0.6704 0.6593
12 V 0.1705 0.1705 0.6591
13 O 0.2501 0.2499 0.9999
14 O 0.7500 0.7501 0.9999
15 O 0.2500 0.7502 0.9999
16 O 0.7501 0.2499 0.9999
17 O 0.4080 0.4080 0.1840
18 O 0.9080 0.9080 0.1840
19 O 0.5919 0.5920 0.8161
20 O 0.0920 0.0920 0.8160
21 O 0.5583 0.0584 0.3832
22 O 0.0585 0.5583 0.3832
23 O 0.0581 0.0580 0.3840
24 O 0.5580 0.5581 0.3840
25 O 0.9415 0.4413 0.6171
26 O 0.4414 0.9416 0.6171
27 O 0.4420 0.4420 0.6163
28 O 0.9416 0.9417 0.6163

Properties
- energy above the lowest structure with this stoichiometry (kJ per mole of atoms) = 0.0
- ΔE_f (eV per atom) = -2.919

---

(4)
## BaWO4 (GGA+U)

Data for a geometry-optimized BaWO4 structure.

a = 7.6285 Å, b = 7.6285 Å, c = 7.6285 Å
α = 135.83°, β = 135.83°, γ = 64.25°
Positions (direct):
1 Ba 0.2500 0.7500 0.5000
2 Ba 0.5000 0.5000 0.0000
3 W 0.7551 0.2551 0.5000
4 W 0.0051 0.0051 0.0000
5 O 0.1554 0.0492 0.3589
6 O 0.6904 0.7965 0.6411
7 O 0.0596 0.4535 0.8589
8 O 0.5465 0.4054 0.6062
9 O 0.2035 0.8446 0.8938
10 O 0.9508 0.3096 0.1062
11 O 0.7992 0.9404 0.3938
12 O 0.5946 0.2008 0.1411

Properties
- energy above the lowest structure with this stoichiometry (kJ per mole of atoms) = 1.8
- ΔE_f (eV per atom) = -2.710

---

(5)
## Ba2WO5 (GGA+U)

Data for a geometry-optimized Ba2WO5 structure.

a = 5.8075 Å, b = 7.5690 Å, c = 11.7290 Å
α = 90.00°, β = 90.00°, γ = 90.00°
Positions (direct):
1 Ba 0.7500 0.1728 0.5838
2 Ba 0.2500 0.8272 0.4162
3 Ba 0.7500 0.6728 0.9162
4 Ba 0.2500 0.3272 0.0838
5 Ba 0.2500 0.0208 0.7834
6 Ba 0.7500 0.9792 0.2166
7 Ba 0.2500 0.5208 0.7166
8 Ba 0.7500 0.4792 0.2834
9 W 0.2500 0.3250 0.4362
10 W 0.7500 0.6750 0.5638
11 W 0.2500 0.8250 0.0638
12 W 0.7500 0.1750 0.9362
13 O 0.4907 0.6771 0.1126
14 O 0.9907 0.3229 0.8874
15 O 0.0093 0.1771 0.3874
16 O 0.5093 0.8229 0.6126
17 O 0.5093 0.3229 0.8874
18 O 0.0093 0.6771 0.1126
19 O 0.9907 0.8229 0.6126
20 O 0.4907 0.1771 0.3874
21 O 0.7500 0.2740 0.0927
22 O 0.2500 0.7260 0.9073
23 O 0.7500 0.7740 0.4073
24 O 0.2500 0.2260 0.5927
25 O 0.0000 0.5000 0.5000
26 O 0.5000 0.5000 0.5000
27 O 0.5000 0.0000 0.0000
28 O 0.0000 0.0000 0.0000
29 O 0.2500 0.4710 0.3039
30 O 0.7500 0.5290 0.6961
31 O 0.2500 0.9710 0.1961
32 O 0.7500 0.0290 0.8039

Properties
- ΔE_f (eV per atom) = -2.870

---

(6)
## BaWO4 (GGA+U)

Data for a geometry-optimized BaWO4 structure.

a = 5.7434 Å, b = 5.7434 Å, c = 7.6118 Å
α = 112.16°, β = 112.16°, γ = 90.00°
Positions (direct):
1 Ba 0.3750 0.1250 0.7500
2 Ba 0.6250 0.8750 0.2500
3 W 0.8750 0.6250 0.7500
4 W 0.1250 0.3750 0.2500
5 O 0.3298 0.6855 0.4075
6 O 0.7220 0.8298 0.9075
7 O 0.1855 0.5777 0.9075
8 O 0.0777 0.2220 0.4075
9 O 0.9223 0.7780 0.5925
10 O 0.8145 0.4223 0.0925
11 O 0.2780 0.1702 0.0925
12 O 0.6702 0.3145 0.5925

Properties
- energy above the lowest structure with this stoichiometry (kJ per mole of atoms) = 0.0
- ΔE_f (eV per atom) = -2.729

---

(7)
## BaW6O18 (GGA+U)

Data for a geometry-optimized BaW6O18 structure.

a = 10.9334 Å, b = 10.9334 Å, c = 8.9880 Å
α = 89.99°, β = 89.99°, γ = 41.58°
Positions (direct):
1 Ba 0.8758 0.8758 0.0854
2 Ba 0.1242 0.1242 0.9146
3 W 0.4687 0.9677 0.2063
4 W 0.2846 0.7791 0.2066
5 W 0.9677 0.4687 0.2063
6 W 0.7791 0.2846 0.2066
7 W 0.1267 0.6232 0.4330
8 W 0.6232 0.1267 0.4330
9 W 0.8733 0.3768 0.5670
10 W 0.3768 0.8733 0.5670
11 W 0.2209 0.7154 0.7934
12 W 0.5313 0.0323 0.7937
13 W 0.0323 0.5313 0.7937
14 W 0.7154 0.2209 0.7934
15 O 0.3742 0.8757 0.1449
16 O 0.8757 0.3742 0.1449
17 O 0.2165 0.2165 0.1984
18 O 0.7193 0.7193 0.2022
19 O 0.5315 0.5315 0.2039
20 O 0.0325 0.0325 0.1968
21 O 0.1879 0.6962 0.2765
22 O 0.6962 0.1879 0.2765
23 O 0.5604 0.0556 0.2764
24 O 0.0556 0.5604 0.2764
25 O 0.3113 0.8104 0.4095
26 O 0.8749 0.8749 0.4248
27 O 0.3751 0.3751 0.4292
28 O 0.4389 0.9393 0.4095
29 O 0.9393 0.4389 0.4095
30 O 0.8104 0.3113 0.4095
31 O 0.6249 0.6249 0.5708
32 O 0.1251 0.1251 0.5752
33 O 0.6887 0.1896 0.5905
34 O 0.5611 0.0607 0.5905
35 O 0.1896 0.6887 0.5905
36 O 0.0607 0.5611 0.5905
37 O 0.4396 0.9444 0.7236
38 O 0.3038 0.8121 0.7235
39 O 0.9444 0.4396 0.7236
40 O 0.8121 0.3038 0.7235
41 O 0.2807 0.2807 0.7978
42 O 0.9675 0.9675 0.8032
43 O 0.4685 0.4685 0.7961
44 O 0.7835 0.7835 0.8016
45 O 0.1243 0.6258 0.8551
46 O 0.6258 0.1243 0.8551
47 O 0.5000 0.0000 0.0000
48 O 0.7535 0.2465 0.0000
49 O 0.0000 0.5000 0.0000
50 O 0.2465 0.7535 0.0000

Properties
- energy above the lowest structure with this stoichiometry (kJ per mole of atoms) = 0.0
- ΔE_f (eV per atom) = -2.301

---

(8)
## Ba2W3O8 (GGA+U)

Data for a geometry-optimized Ba2W3O8 structure.

a = 4.0316 Å, b = 4.0316 Å, c = 11.9694 Å
α = 90.00°, β = 90.00°, γ = 90.00°
Positions (direct):
1 Ba 0.5000 0.5000 0.6902
2 Ba 0.5000 0.5000 0.3098
3 W 0.0000 0.0000 0.8817
4 W 0.0000 0.0000 0.5000
5 W 0.0000 0.0000 0.1183
6 O 0.0000 0.5000 0.8552
7 O 0.5000 0.0000 0.8714
8 O 0.5000 0.0000 0.5011
9 O 0.0000 0.0000 0.6632
10 O 0.0000 0.5000 0.1286
11 O 0.5000 0.0000 0.1448
12 O 0.0000 0.0000 0.3368
13 O 0.0000 0.5000 0.4989

Properties
- ΔE_f (eV per atom) = -2.250